[1]
A relaxed KHg2SCl3O3 crystal, computed with PBE-GGA.

a = 6.189 Å, b = 22.389 Å, c = 7.035 Å
α = 90.00°, β = 90.00°, γ = 90.00°
Space group Cmc2_1 (No. 36)
Asymmetric unit:
K  0.000  0.238  0.000 x4
Hg  0.000  0.061  0.476 x4
Hg  0.000  0.401  0.352 x4
S  0.000  0.167  0.545 x4
Cl  0.000  0.047  0.934 x4
Cl  0.000  0.346  0.631 x4
Cl  0.000  0.460  0.078 x4
O  0.000  0.201  0.366 x4
O  0.198  0.178  0.660 x8

***

[2]
A relaxed K2HgSbCl6 crystal, computed with PBE-GGA.

a = 11.041 Å, b = 11.041 Å, c = 11.041 Å
α = 90.00°, β = 90.00°, γ = 90.00°
Space group Fm-3m (No. 225)
Asymmetric unit:
K  0.250  0.250  0.250 x8
Hg  0.000  0.000  0.000 x4
Sb  0.000  0.000  0.500 x4
Cl  0.000  0.000  0.261 x24

***

[3]
A relaxed K2ScHgCl6 crystal, computed with PBE-GGA.

a = 10.789 Å, b = 10.789 Å, c = 10.789 Å
α = 90.00°, β = 90.00°, γ = 90.00°
Space group Fm-3m (No. 225)
Asymmetric unit:
K  0.250  0.250  0.250 x8
Sc  0.000  0.000  0.000 x4
Hg  0.000  0.000  0.500 x4
Cl  0.000  0.000  0.231 x24

***

[4]
A relaxed Hg3PtN2Cl8 crystal, computed with PBE-GGA.

a = 19.611 Å, b = 6.538 Å, c = 13.696 Å
α = 90.00°, β = 96.29°, γ = 90.00°
Space group C2/c (No. 15)
Asymmetric unit:
Hg  0.000  0.000  0.000 x4
Hg  0.202  0.015  0.424 x8
Pt  0.000  0.284  0.750 x4
N  0.074  0.426  0.731 x8
Cl  0.063  0.286  0.466 x8
Cl  0.079  0.013  0.727 x8
Cl  0.150  0.260  0.992 x8
Cl  0.246  0.217  0.650 x8

***

[5]
A relaxed HgS4N3Cl3 crystal, computed with PBE-GGA.

a = 6.374 Å, b = 17.727 Å, c = 10.016 Å
α = 90.00°, β = 106.72°, γ = 90.00°
Space group P2_1/c (No. 14)
Asymmetric unit:
Hg  0.211  0.072  0.444 x4
S  0.074  0.677  0.679 x4
S  0.299  0.547  0.598 x4
S  0.344  0.736  0.028 x4
S  0.500  0.170  0.035 x4
N  0.139  0.592  0.665 x4
N  0.180  0.739  0.610 x4
N  0.433  0.593  0.519 x4
Cl  0.116  0.124  0.211 x4
Cl  0.275  0.548  0.068 x4
Cl  0.338  0.177  0.628 x4

***

[6]
A relaxed Hg5Cl4O4 crystal, computed with PBE-GGA.

a = 6.191 Å, b = 6.916 Å, c = 7.915 Å
α = 89.46°, β = 89.89°, γ = 69.49°
Space group P-1 (No. 2)
Asymmetric unit:
Hg  0.000  0.000  0.000 x1
Hg  0.218  0.695  0.338 x2
Hg  0.244  0.191  0.329 x2
Cl  0.220  0.465  0.006 x2
Cl  0.262  0.937  0.643 x2
O  0.198  0.450  0.478 x2
O  0.258  0.930  0.181 x2

***

[7]
A relaxed Hg2ClO crystal, computed with PBE-GGA.

a = 12.310 Å, b = 6.106 Å, c = 9.752 Å
α = 90.00°, β = 105.61°, γ = 90.00°
Space group C2/c (No. 15)
Asymmetric unit:
Hg  0.000  0.094  0.250 x4
Hg  0.050  0.306  0.896 x8
Hg  0.250  0.250  0.500 x4
Cl  0.190  0.201  0.141 x8
O  0.080  0.325  0.439 x8

Polymorph energy (0 for the lowest one)   0 meV/atom

***

[8]
A relaxed Hg2ClO crystal, computed with PBE-GGA.

a = 7.091 Å, b = 7.247 Å, c = 9.825 Å
α = 74.37°, β = 89.13°, γ = 61.09°
Space group P-1 (No. 2)
Asymmetric unit:
Hg  0.000  0.000  0.000 x1
Hg  0.198  0.592  0.611 x2
Hg  0.283  0.409  0.888 x2
Hg  0.290  0.500  0.248 x2
Hg  0.500  0.000  0.500 x1
Cl  0.000  0.140  0.626 x2
Cl  0.363  0.138  0.127 x2
O  0.208  0.671  0.037 x2
O  0.394  0.328  0.462 x2

Polymorph energy (0 for the lowest one)   16 meV/atom

***

| no. | MP2020-corrected energy (eV for the cell shown) |
| --- | --- |
| 1 | -156.61 |
| 2 | -131.75 |
| 3 | -159.31 |
| 4 | -167.90 |
| 5 | -193.98 |
| 6 | -34.32 |
| 7 | -77.68 |
| 8 | -38.58 |